[1]
Compound: PrS2
Source: Materials Project
Functional: r²SCAN
Structure: optimized geometry

a b c (Å): 8.1816 4.0867 8.1286
angles (deg): 90.00 90.03 90.00
Space group P2_1/c (No. 14)
Inequivalent atoms, fractional coordinates:
Pr  0.2241  0.2099  0.3702 (multiplicity 4)
S  0.1332  0.7387  0.1254 (multiplicity 4)
S  0.4974  0.6525  0.3941 (multiplicity 4)

Properties
- Energy of formation: -2.011 eV per atom

***

[2]
Compound: K2ZnF4
Source: Materials Project
Functional: r²SCAN
Structure: optimized geometry

a b c (Å): 4.0446 4.0446 13.0393
angles (deg): 90.00 90.00 90.00
Space group I4/mmm (No. 139)
Inequivalent atoms, fractional coordinates:
K  0.0000  0.0000  0.1452 (multiplicity 4)
Zn  0.0000  0.0000  0.5000 (multiplicity 2)
F  0.0000  0.0000  0.3446 (multiplicity 4)
F  0.0000  0.5000  0.0000 (multiplicity 4)

Properties
- Energy of formation: -2.855 eV per atom

***

[3]
Compound: Cs2PdI6
Source: Materials Project
Functional: r²SCAN
Structure: optimized geometry

a b c (Å): 9.1111 9.1111 9.2291
angles (deg): 90.00 90.00 90.00
Space group I4/mmm (No. 139)
Inequivalent atoms, fractional coordinates:
Cs  0.0000  0.5000  0.2500 (multiplicity 4)
Pd  0.0000  0.0000  0.0000 (multiplicity 2)
I  0.0000  0.0000  0.3448 (multiplicity 4)
I  0.2057  0.2057  0.0000 (multiplicity 8)

Properties
- Energy of formation: -0.920 eV per atom

***

[4]
Compound: Dy11Sn10
Source: Materials Project
Functional: r²SCAN
Structure: optimized geometry

a b c (Å): 11.5862 11.5862 17.0495
angles (deg): 90.00 90.00 90.00
Space group I4/mmm (No. 139)
Inequivalent atoms, fractional coordinates:
Dy  0.0000  0.0000  0.1645 (multiplicity 4)
Dy  0.0000  0.2517  0.3109 (multiplicity 16)
Dy  0.0000  0.3301  0.1014 (multiplicity 16)
Dy  0.1744  0.1744  0.5000 (multiplicity 8)
Sn  0.0000  0.0000  0.3857 (multiplicity 4)
Sn  0.0000  0.3548  0.5000 (multiplicity 8)
Sn  0.0000  0.5000  0.2500 (multiplicity 4)
Sn  0.1283  0.1283  0.0000 (multiplicity 8)
Sn  0.2059  0.2059  0.1766 (multiplicity 16)

Properties
- Energy of formation: -0.847 eV per atom

***

| no. | total DFT energy (no corrections) (eV/atom) | total moment (μB/cell) |
| --- | --- | --- |
| 1 | -17.17 | 0.00 |
| 2 | -7.63 | 0.00 |
| 3 | -25.42 | 0.00 |
| 4 | -29.38 | 0.00 |